(1)
DFT (PBE with a Hubbard U) results for a relaxed structure of Li9Mn7O16.

```
Li9Mn7O16
1.0
5.291 0.000 0.000
-1.119 7.584 0.000
-2.105 -0.996 7.415
Li Mn O
9 7 16
Direct
0.000 0.000 0.000
0.076 0.689 0.569
0.186 0.058 0.701
0.312 0.437 0.814
0.419 0.820 0.933
0.581 0.180 0.067
0.688 0.563 0.186
0.814 0.942 0.299
0.924 0.311 0.431
0.118 0.371 0.125
0.244 0.750 0.245
0.366 0.123 0.368
0.500 0.500 0.500
0.634 0.877 0.632
0.756 0.250 0.755
0.882 0.629 0.875
0.023 0.830 0.782
0.097 0.538 0.331
0.108 0.231 0.899
0.214 0.907 0.446
0.287 0.593 0.052
0.391 0.279 0.596
0.410 0.962 0.172
0.472 0.660 0.703
0.528 0.340 0.297
0.590 0.038 0.828
0.609 0.721 0.404
0.713 0.407 0.948
0.786 0.093 0.554
0.892 0.769 0.101
0.903 0.462 0.669
0.977 0.170 0.218
```

Properties
Its formation energy is -2.14 eV/atom. For the energy relative to the lowest polymorph listed for this composition, the calculation gives 4.2 meV/atom. For the energy, the calculation gives -6.4470 eV/atom.



(2)
DFT (PBE with a Hubbard U) results for a relaxed structure of FeOF.

```
FeOF
1.0
9.506 0.000 0.000
0.000 3.097 0.000
-0.169 0.000 14.345
Fe O F
12 12 12
Direct
0.000 0.000 0.000
0.001 0.000 0.339
0.202 0.500 0.172
0.205 0.500 0.509
0.209 0.500 0.834
0.490 0.000 0.008
0.499 0.000 0.336
0.501 0.000 0.670
0.709 0.500 0.503
0.710 0.500 0.169
0.741 0.500 0.814
0.990 0.000 0.673
0.074 0.500 0.273
0.077 0.500 0.606
0.080 0.500 0.939
0.134 0.000 0.105
0.134 0.000 0.440
0.141 0.000 0.773
0.577 0.500 0.269
0.578 0.500 0.606
0.629 0.000 0.100
0.632 0.000 0.438
0.632 0.000 0.775
0.889 0.500 0.732
0.327 0.000 0.234
0.329 0.000 0.570
0.338 0.000 0.907
0.384 0.500 0.067
0.385 0.500 0.399
0.385 0.500 0.737
0.575 0.500 0.940
0.824 0.000 0.232
0.825 0.000 0.563
0.827 0.000 0.905
0.881 0.500 0.069
0.882 0.500 0.400
```

Properties
Its formation energy is -2.03 eV/atom. For the energy, the calculation gives -6.0057 eV/atom.



(3)
DFT (PBE with a Hubbard U) results for a relaxed structure of MgFe4O8.

```
MgFe4O8
1.0
5.131 0.000 0.000
0.000 2.975 0.000
-0.332 0.000 9.665
Mg Fe O
1 4 8
Direct
0.000 0.000 0.000
0.024 0.000 0.431
0.490 0.000 0.925
0.512 0.500 0.218
0.980 0.500 0.702
0.181 0.000 0.801
0.193 0.500 0.527
0.273 0.500 0.033
0.317 0.000 0.294
0.687 0.000 0.114
0.742 0.500 0.879
0.806 0.000 0.610
0.832 0.500 0.346
```

Properties
Its formation energy is -1.62 eV/atom. For the energy relative to the lowest polymorph listed for this composition, the calculation gives 16.5 meV/atom. For the energy, the calculation gives -6.2801 eV/atom.



(4)
DFT (PBE with a Hubbard U) results for a relaxed structure of LiVF3.

```
LiVF3
1.0
5.548 -4.678 0.000
5.548 4.678 0.000
-2.463 0.000 5.231
Li V F
4 4 12
Direct
0.121 0.271 0.176
0.271 0.121 0.676
0.729 0.879 0.324
0.879 0.729 0.824
0.231 0.769 0.250
0.407 0.593 0.750
0.593 0.407 0.250
0.769 0.231 0.750
0.068 0.219 0.816
0.148 0.648 0.846
0.219 0.068 0.316
0.312 0.477 0.333
0.352 0.852 0.654
0.477 0.312 0.833
0.523 0.688 0.167
0.648 0.148 0.346
0.688 0.523 0.667
0.781 0.932 0.684
0.852 0.352 0.154
0.932 0.781 0.184
```

Properties
Its formation energy is -2.99 eV/atom. For the energy relative to the lowest polymorph listed for this composition, the calculation gives 51.8 meV/atom. For the energy, the calculation gives -5.7243 eV/atom.



Calculated magnetization, 26.001, 5.000, 18.014, 3.000 μB per formula unit (same order as the records).
Calculated corrected total energy (MP2020 scheme), -7.16, -7.14, -7.40, -6.34 eV/atom (same order as the records).